Arrangement a

Computed, not measured: a relaxed structure of BaW6O18 at the GGA+U level of DFT.

CIF file:
```
data_BaW6O18
_chemical_formula_sum 'Ba4 W24 O72'
_symmetry_space_group_name_H-M 'C 1 2/m 1'
_symmetry_Int_Tables_number 12
_symmetry_space_group_name_Hall '-C 2y'
_cell_length_a 20.443
_cell_length_b 7.761
_cell_length_c 8.988
_cell_angle_alpha 90.00
_cell_angle_beta 90.01
_cell_angle_gamma 90.00
loop_
_atom_site_label
_atom_site_fract_x
_atom_site_fract_y
_atom_site_fract_z
Ba1 0.124 0.000 0.085
W1 0.032 0.253 0.793
W2 0.125 0.252 0.433
W3 0.218 0.251 0.794
O1 0.000 0.246 0.000
O2 0.032 0.500 0.796
O3 0.033 0.000 0.803
O4 0.058 0.246 0.276
O5 0.061 0.250 0.591
O6 0.125 0.000 0.425
O7 0.125 0.249 0.855
O8 0.125 0.500 0.429
O9 0.189 0.250 0.590
O10 0.192 0.248 0.276
O11 0.217 0.000 0.802
O12 0.219 0.500 0.798
O13 0.250 0.250 0.000
```


Arrangement b

Computed, not measured: a relaxed structure of BaW6O18 at the GGA+U level of DFT.

CIF file:
```
data_BaW6O18
_chemical_formula_sum 'Ba1 W6 O18'
_symmetry_space_group_name_H-M 'P 3 1 m'
_symmetry_Int_Tables_number 157
_symmetry_space_group_name_Hall 'P 3 -2'
_cell_length_a 7.4669
_cell_length_b 7.4669
_cell_length_c 7.6919
_cell_angle_alpha 90.00
_cell_angle_beta 90.00
_cell_angle_gamma 120.00
loop_
_atom_site_label
_atom_site_fract_x
_atom_site_fract_y
_atom_site_fract_z
Ba1 0.0000 0.0000 0.0000
W1 0.0000 0.4924 0.6842
W2 0.0000 0.5043 0.1857
O1 0.0000 0.4987 0.4331
O2 0.0000 0.4988 0.9352
O3 0.2089 0.4184 0.1800
O4 0.2105 0.7868 0.6873
```


Which is most stable, and by how much? arrangement a, by 17 meV/atom.


Arrangement a

Computed, not measured: a relaxed structure of Be2CoH6N2F8 at the GGA+U level of DFT.

CIF file:
```
data_Be2CoH6N2F8
_chemical_formula_sum 'Be4 Co2 H12 N4 F16'
_symmetry_space_group_name_H-M 'P 1 21/c 1'
_symmetry_Int_Tables_number 14
_symmetry_space_group_name_Hall '-P 2ybc'
_cell_length_a 5.471
_cell_length_b 9.935
_cell_length_c 8.169
_cell_angle_alpha 90.00
_cell_angle_beta 120.38
_cell_angle_gamma 90.00
loop_
_atom_site_label
_atom_site_fract_x
_atom_site_fract_y
_atom_site_fract_z
Be1 0.239 0.195 0.415
Co1 0.000 0.000 0.000
H1 0.198 0.666 0.906
H2 0.381 0.509 0.571
H3 0.407 0.554 0.655
N1 0.390 0.686 0.030
F1 0.083 0.112 0.226
F2 0.100 0.160 0.879
F3 0.280 0.131 0.592
F4 0.331 0.662 0.171
```

Values from the calculation:
For the total magnetization, the calculation gives 0.26 μB per atom.


Arrangement b

Computed, not measured: a relaxed structure of Be2CoH6N2F8 at the GGA+U level of DFT.

CIF file:
```
data_Be2CoH6N2F8
_chemical_formula_sum 'Be4 Co2 H12 N4 F16'
_symmetry_space_group_name_H-M 'P 1 21/c 1'
_symmetry_Int_Tables_number 14
_symmetry_space_group_name_Hall '-P 2ybc'
_cell_length_a 5.959
_cell_length_b 13.285
_cell_length_c 6.400
_cell_angle_alpha 90.00
_cell_angle_beta 99.94
_cell_angle_gamma 90.00
loop_
_atom_site_label
_atom_site_fract_x
_atom_site_fract_y
_atom_site_fract_z
Be1 0.166 0.096 0.036
Co1 0.000 0.000 0.500
H1 0.043 0.622 0.070
H2 0.142 0.608 0.004
H3 0.232 0.031 0.365
N1 0.462 0.661 0.619
F1 0.062 0.189 0.078
F2 0.145 0.030 0.851
F3 0.330 0.049 0.246
F4 0.489 0.174 0.671
```

Values from the calculation:
For the total magnetization, the calculation gives 0.16 μB per atom.


Which is most stable, and by how much? arrangement a, by 381 meV/atom.